# BaCr2N2 PBE optimized geometry
# Energy of formation from the pure elements = -440 meV/atom
# Density = 6.6 Mg/m³
# Total energy after the MP2020 corrections = -8.02 eV per atom
# Total magnetic moment = 0.66 μB per formula unit
data_BaCr2N2
_symmetry_space_group_name_H-M 'P -3 m 1'
_symmetry_Int_Tables_number 164
_symmetry_space_group_name_Hall '-P 3 2"'
_cell_length_a 3.3597
_cell_length_b 3.3597
_cell_length_c 6.9609
_cell_angle_alpha 90.00
_cell_angle_beta 90.00
_cell_angle_gamma 120.00
loop_
_atom_site_label
_atom_site_type_symbol
_atom_site_fract_x
_atom_site_fract_y
_atom_site_fract_z
Ba1 Ba 0.0000 0.0000 0.0000
Cr1 Cr 0.3333 0.6667 0.3926
N1 N 0.3333 0.6667 0.6763